Here is crystalline Ge at its relaxed geometry from the Materials Project database. Energies are from PBE.

Results
- crystal system = hexagonal
- space-group type = P6_3/mmc (194)

Cell: 4.050 4.050 6.684 Å, 90.00 90.00 120.00°
Atoms (fractional coordinates):
1 Ge 0.667 0.333 0.063
2 Ge 0.333 0.667 0.563
3 Ge 0.667 0.333 0.437
4 Ge 0.333 0.667 0.937

***

Here is crystalline NaCaAu2 at its relaxed geometry from the Materials Project database. Energies are from PBE.

Results
- crystal system = cubic
- space-group type = Fm-3m (225)

Cell: 5.082 5.082 5.082 Å, 60.00 60.00 60.00°
Atoms (fractional coordinates):
1 Na 0.000 0.000 0.000
2 Ca 0.500 0.500 0.500
3 Au 0.750 0.750 0.750
4 Au 0.250 0.250 0.250

***

Here is crystalline NaIO3 at its relaxed geometry from the Materials Project database. Energies are from PBE.

Results
- crystal system = orthorhombic
- space-group type = Pnma (62)

Cell: 5.805 6.537 8.332 Å, 90.00 90.00 90.00°
Atoms (fractional coordinates):
1 Na 0.500 0.000 0.000
2 Na 0.000 0.500 0.000
3 Na 0.000 0.500 0.500
4 Na 0.500 0.000 0.500
5 I 0.010 0.016 0.250
6 I 0.510 0.484 0.750
7 I 0.490 0.516 0.250
8 I 0.990 0.984 0.750
9 O 0.135 0.166 0.415
10 O 0.635 0.334 0.585
11 O 0.365 0.666 0.085
12 O 0.865 0.834 0.915
13 O 0.865 0.834 0.585
14 O 0.365 0.666 0.415
15 O 0.635 0.334 0.915
16 O 0.135 0.166 0.085
17 O 0.708 0.096 0.250
18 O 0.208 0.404 0.750
19 O 0.792 0.596 0.250
20 O 0.292 0.904 0.750

***

Here is crystalline Ge at its relaxed geometry from the Materials Project database. Energies are from PBE.

Results
- crystal system = tetragonal
- space-group type = I4_1/amd (141)
- size of the total moment (μB per cell) = 0.00

Cell: 2.874 3.936 3.936 Å, 82.34 68.59 68.59°
Atoms (fractional coordinates):
1 Ge 0.500 0.000 0.000
2 Ge 0.750 0.500 0.500

***

Formation energy in eV/atom, matching the order above: 0.0217, -0.5807, -1.3224, 0.2297